Entry from Materials Project: a relaxed structure of Sr15La2Cl36 (PBE).

Structure (CIF):
```
data_Sr15La2Cl36
_chemical_formula_sum 'Sr15 La2 Cl36'
_space_group_name_H-M_alt 'P 1'
_space_group_IT_number 1
_cell_length_a 4.996
_cell_length_b 4.996
_cell_length_c 85.233
_cell_angle_alpha 60.12
_cell_angle_beta 60.12
_cell_angle_gamma 60.00
loop_
_space_group_symop_operation_xyz
'x,y,z'
loop_
_atom_site_label
_atom_site_type_symbol
_atom_site_fract_x
_atom_site_fract_y
_atom_site_fract_z
Cl1 Cl 0.249 0.249 0.250
Cl2 Cl 0.250 0.250 0.485
Cl3 Cl 0.249 0.249 0.603
Sr1 Sr 0.001 0.001 0.647
Cl4 Cl 0.238 0.238 0.017
Cl5 Cl 0.750 0.750 0.221
Cl6 Cl 0.286 0.286 0.832
Cl7 Cl 0.750 0.750 0.279
Sr2 Sr 0.001 0.001 0.176
Cl8 Cl 0.249 0.249 0.368
Cl9 Cl 0.241 0.241 0.781
Cl10 Cl 0.748 0.748 0.103
Cl11 Cl 0.750 0.750 0.162
Sr3 Sr 0.001 0.001 0.235
La1 La 0.976 0.976 0.945
Sr4 Sr 0.998 0.998 0.059
Cl12 Cl 0.248 0.248 0.074
Sr5 Sr 0.001 0.001 0.470
Cl13 Cl 0.750 0.750 0.456
Sr6 Sr 0.001 0.001 0.588
Cl14 Cl 0.750 0.750 0.515
Sr7 Sr 0.993 0.993 0.001
Cl15 Cl 0.747 0.747 0.045
Cl16 Cl 0.249 0.249 0.662
Sr8 Sr 0.001 0.001 0.412
Cl17 Cl 0.250 0.250 0.544
Cl18 Cl 0.249 0.249 0.427
Cl19 Cl 0.518 0.518 0.967
Cl20 Cl 0.249 0.249 0.132
Cl21 Cl 0.750 0.750 0.338
Sr9 Sr 0.002 0.002 0.764
Cl22 Cl 0.749 0.749 0.691
Cl23 Cl 0.285 0.285 0.950
Sr10 Sr 0.001 0.001 0.294
Sr11 Sr 0.001 0.001 0.353
Cl24 Cl 0.765 0.765 0.806
Cl25 Cl 0.734 0.734 0.988
Cl26 Cl 0.750 0.750 0.750
Cl27 Cl 0.249 0.249 0.309
Cl28 Cl 0.764 0.764 0.924
Sr12 Sr 0.996 0.996 0.883
La2 La 0.976 0.976 0.828
Sr13 Sr 0.000 0.000 0.706
Cl29 Cl 0.750 0.750 0.632
Cl30 Cl 0.750 0.750 0.397
Cl31 Cl 0.750 0.750 0.574
Cl32 Cl 0.737 0.737 0.870
Cl33 Cl 0.517 0.517 0.850
Cl34 Cl 0.250 0.250 0.191
Cl35 Cl 0.250 0.250 0.721
Sr14 Sr 0.001 0.001 0.529
Sr15 Sr 0.001 0.001 0.118
Cl36 Cl 0.230 0.230 0.901
```

Calculated values
electronic total energy: -230.49 eV for the cell shown
SG: No. 160


Entry from Materials Project: a relaxed structure of CsBrO4 (PBE).

Structure (CIF):
```
data_CsBrO4
_chemical_formula_sum 'Cs2 Br2 O8'
_space_group_name_H-M_alt 'P 1'
_space_group_IT_number 1
_cell_length_a 8.643
_cell_length_b 8.643
_cell_length_c 8.643
_cell_angle_alpha 140.28
_cell_angle_beta 140.28
_cell_angle_gamma 57.43
loop_
_space_group_symop_operation_xyz
'x,y,z'
loop_
_atom_site_label
_atom_site_type_symbol
_atom_site_fract_x
_atom_site_fract_y
_atom_site_fract_z
O1 O 0.562 0.330 0.768
O2 O 0.544 0.812 0.732
Cs1 Cs 0.750 0.250 0.500
O3 O 0.206 0.438 0.768
Cs2 Cs 0.000 0.000 0.000
O4 O 0.188 0.456 0.268
O5 O 0.080 0.812 0.268
O6 O 0.188 0.920 0.732
O7 O 0.670 0.438 0.232
Br1 Br 0.250 0.750 0.500
Br2 Br 0.500 0.500 0.000
O8 O 0.562 0.794 0.232
```

Calculated values
electronic total energy: -49.45 eV for the cell shown
SG: No. 141


Which value of electronic total energy does entry 2 give? -49.45 eV for the cell shown